No. 1
{"formula": "Gd4Si3S12", "functional": "GGA-PBE", "state": "relaxed", "lattice_angstrom": [[9.724, 0.000, -2.196], [0.000, 11.103, 0.000], [-0.016, 0.000, 16.631]], "species": ["Gd", "Gd", "Gd", "Gd", "Gd", "Gd", "Gd", "Gd", "Gd", "Gd", "Gd", "Gd", "Gd", "Gd", "Gd", "Gd", "S", "S", "S", "S", "S", "S", "S", "S", "S", "S", "S", "S", "S", "S", "S", "S", "S", "S", "S", "S", "S", "S", "S", "S", "S", "S", "S", "S", "S", "S", "S", "S", "S", "S", "S", "S", "S", "S", "S", "S", "S", "S", "S", "S", "S", "S", "S", "S", "Si", "Si", "Si", "Si", "Si", "Si", "Si", "Si", "Si", "Si", "Si", "Si"], "fractional_positions": [[0.177, 0.260, 0.211], [0.877, 0.652, 0.060], [0.377, 0.848, 0.560], [0.111, 0.517, 0.625], [0.968, 0.876, 0.370], [0.123, 0.348, 0.940], [0.032, 0.124, 0.630], [0.677, 0.240, 0.711], [0.389, 0.017, 0.875], [0.323, 0.760, 0.289], [0.532, 0.376, 0.130], [0.889, 0.483, 0.375], [0.623, 0.152, 0.440], [0.823, 0.740, 0.789], [0.468, 0.624, 0.870], [0.611, 0.983, 0.125], [0.153, 0.730, 0.127], [0.258, 0.956, 0.688], [0.994, 0.276, 0.311], [0.592, 0.347, 0.554], [0.748, 0.213, 0.136], [0.653, 0.335, 0.311], [0.386, 0.239, 0.987], [0.494, 0.224, 0.811], [0.347, 0.230, 0.373], [0.657, 0.058, 0.972], [0.153, 0.165, 0.811], [0.918, 0.346, 0.683], [0.843, 0.558, 0.528], [0.651, 0.521, 0.773], [0.082, 0.654, 0.317], [0.092, 0.153, 0.054], [0.006, 0.724, 0.689], [0.849, 0.021, 0.727], [0.242, 0.456, 0.812], [0.847, 0.835, 0.189], [0.157, 0.442, 0.472], [0.955, 0.563, 0.906], [0.653, 0.770, 0.627], [0.343, 0.942, 0.028], [0.758, 0.544, 0.188], [0.408, 0.653, 0.446], [0.847, 0.270, 0.873], [0.333, 0.525, 0.023], [0.742, 0.044, 0.312], [0.908, 0.847, 0.946], [0.349, 0.479, 0.227], [0.886, 0.261, 0.487], [0.455, 0.937, 0.406], [0.252, 0.787, 0.864], [0.114, 0.739, 0.513], [0.752, 0.713, 0.364], [0.347, 0.665, 0.689], [0.418, 0.154, 0.183], [0.506, 0.776, 0.189], [0.167, 0.025, 0.477], [0.545, 0.063, 0.594], [0.667, 0.475, 0.977], [0.248, 0.287, 0.636], [0.833, 0.975, 0.523], [0.045, 0.437, 0.094], [0.582, 0.846, 0.817], [0.151, 0.979, 0.273], [0.614, 0.761, 0.013], [0.778, 0.447, 0.883], [0.790, 0.215, 0.266], [0.200, 0.617, 0.439], [0.800, 0.383, 0.561], [0.222, 0.553, 0.117], [0.710, 0.715, 0.234], [0.210, 0.785, 0.734], [0.722, 0.947, 0.617], [0.300, 0.117, 0.061], [0.290, 0.285, 0.766], [0.278, 0.053, 0.383], [0.700, 0.883, 0.939]], "space_group": "P2_1/c", "e_tot_ev_per_cell": -596.89, "formation_energy_ev_per_fu": -33.04, "polymorph_energy_mev_per_atom": 0}

***

No. 2
{"formula": "Gd4Si3S12", "functional": "GGA-PBE", "state": "relaxed", "lattice_angstrom": [[6.076, -9.500, 0.000], [6.076, 9.500, 0.000], [-8.776, 0.000, 7.082]], "species": ["Gd", "Gd", "Gd", "Gd", "Gd", "Gd", "Gd", "Gd", "Si", "Si", "Si", "Si", "Si", "Si", "S", "S", "S", "S", "S", "S", "S", "S", "S", "S", "S", "S", "S", "S", "S", "S", "S", "S", "S", "S", "S", "S", "S", "S"], "fractional_positions": [[0.529, 0.069, 0.293], [0.501, 0.501, 0.501], [0.793, 0.569, 0.029], [0.069, 0.293, 0.529], [0.001, 0.001, 0.001], [0.569, 0.029, 0.793], [0.293, 0.529, 0.069], [0.029, 0.793, 0.569], [0.032, 0.646, 0.859], [0.859, 0.032, 0.646], [0.146, 0.532, 0.359], [0.532, 0.359, 0.146], [0.359, 0.146, 0.532], [0.646, 0.859, 0.032], [0.816, 0.628, 0.814], [0.628, 0.814, 0.816], [0.382, 0.701, 0.414], [0.128, 0.316, 0.314], [0.882, 0.914, 0.201], [0.717, 0.111, 0.187], [0.701, 0.414, 0.382], [0.217, 0.687, 0.611], [0.687, 0.611, 0.217], [0.316, 0.314, 0.128], [0.914, 0.201, 0.882], [0.201, 0.882, 0.914], [0.187, 0.717, 0.111], [0.918, 0.380, 0.647], [0.111, 0.187, 0.717], [0.647, 0.918, 0.380], [0.880, 0.418, 0.147], [0.380, 0.647, 0.918], [0.314, 0.128, 0.316], [0.814, 0.816, 0.628], [0.414, 0.382, 0.701], [0.418, 0.147, 0.880], [0.147, 0.880, 0.418], [0.611, 0.217, 0.687]], "space_group": "R3c", "e_tot_ev_per_cell": -297.42, "total_magnetization_mub_per_atom": 1.474, "formation_energy_ev_per_fu": -32.53, "polymorph_energy_mev_per_atom": 27}

***

No. 3
{"formula": "SmGd2S4", "functional": "GGA-PBE", "state": "relaxed", "lattice_angstrom": [[-4.227, 4.227, 4.213], [4.227, -4.227, 4.213], [4.227, 4.227, -4.213]], "species": ["Gd", "Gd", "Gd", "Gd", "S", "S", "S", "S", "S", "S", "S", "S", "Sm", "Sm"], "fractional_positions": [[0.125, 0.501, 0.876], [0.499, 0.375, 0.624], [0.751, 0.875, 0.376], [0.625, 0.249, 0.124], [0.727, 0.125, 0.749], [0.875, 0.624, 0.602], [0.228, 0.126, 0.751], [0.375, 0.477, 0.249], [0.022, 0.273, 0.398], [0.523, 0.772, 0.898], [0.874, 0.625, 0.102], [0.376, 0.978, 0.251], [0.250, 0.750, 0.500], [0.000, 0.000, 0.000]], "space_group": "I-42d", "e_tot_ev_per_cell": -127.47, "total_magnetization_mub_per_atom": 1.891, "formation_energy_ev_per_fu": -16.33}

***

No. 4
{"formula": "SmGdS3", "functional": "GGA-PBE", "state": "relaxed", "lattice_angstrom": [[3.982, 0.000, 0.000], [0.000, 7.415, 0.000], [0.000, 0.000, 15.359]], "species": ["Sm", "Sm", "Sm", "Sm", "Gd", "Gd", "Gd", "Gd", "S", "S", "S", "S", "S", "S", "S", "S", "S", "S", "S", "S"], "fractional_positions": [[0.250, 0.642, 0.704], [0.750, 0.358, 0.296], [0.750, 0.858, 0.204], [0.250, 0.142, 0.796], [0.750, 0.732, 0.957], [0.250, 0.768, 0.457], [0.750, 0.232, 0.543], [0.250, 0.268, 0.043], [0.750, 0.625, 0.566], [0.250, 0.648, 0.283], [0.750, 0.352, 0.717], [0.750, 0.125, 0.934], [0.750, 0.852, 0.783], [0.250, 0.148, 0.217], [0.750, 0.489, 0.107], [0.750, 0.989, 0.393], [0.250, 0.011, 0.607], [0.250, 0.375, 0.434], [0.250, 0.875, 0.066], [0.250, 0.511, 0.893]], "space_group": "Pnma", "e_tot_ev_per_cell": -166.37, "formation_energy_ev_per_fu": -11.90}

***

No. 5
{"formula": "SmGdS2", "functional": "GGA-PBE", "state": "relaxed", "lattice_angstrom": [[-3.098, -3.543, -5.113], [0.497, -2.533, -6.453], [0.085, -5.655, -4.039]], "species": ["S", "S", "Gd", "Sm"], "fractional_positions": [[0.748, 0.748, 0.748], [0.252, 0.252, 0.252], [0.000, 0.000, 0.000], [0.500, 0.500, 0.500]], "space_group": "R-3m", "e_tot_ev_per_cell": -35.28, "formation_energy_ev_per_fu": -9.21}

***

No. 6
{"formula": "Sm4GdS5", "functional": "GGA-PBE", "state": "relaxed", "lattice_angstrom": [[3.784, -9.470, -3.687], [5.929, -8.565, 3.014], [-7.978, 7.334, 0.392]], "species": ["S", "S", "S", "S", "S", "Sm", "Sm", "Sm", "Sm", "Gd"], "fractional_positions": [[0.700, 0.200, 0.500], [0.500, 0.000, 0.500], [0.097, 0.597, 0.500], [0.903, 0.403, 0.500], [0.300, 0.800, 0.500], [0.800, 0.800, 0.000], [0.200, 0.200, 0.000], [0.601, 0.601, 0.000], [0.399, 0.399, 0.000], [0.000, 0.000, 0.000]], "space_group": "Immm", "e_tot_ev_per_cell": -73.56, "total_magnetization_mub_per_atom": 0.654, "formation_energy_ev_per_fu": -22.44}

***

No. 7
{"formula": "Gd3TiS6", "functional": "GGA-PBE", "state": "relaxed", "lattice_angstrom": [[0.000, 0.000, 3.799], [13.575, 0.000, 0.000], [0.000, 16.250, 0.000]], "species": ["S", "S", "S", "S", "S", "S", "S", "S", "S", "S", "S", "S", "S", "S", "S", "S", "S", "S", "S", "S", "S", "S", "S", "S", "Ti", "Ti", "Ti", "Ti", "Gd", "Gd", "Gd", "Gd", "Gd", "Gd", "Gd", "Gd", "Gd", "Gd", "Gd", "Gd"], "fractional_positions": [[0.500, 0.396, 0.254], [0.500, 0.685, 0.212], [0.500, 0.913, 0.075], [0.500, 0.317, 0.020], [0.000, 0.413, 0.425], [0.000, 0.878, 0.895], [0.500, 0.604, 0.746], [0.500, 0.315, 0.788], [0.500, 0.087, 0.925], [0.500, 0.979, 0.600], [0.000, 0.185, 0.288], [0.000, 0.479, 0.900], [0.000, 0.104, 0.754], [0.000, 0.815, 0.712], [0.000, 0.817, 0.480], [0.000, 0.183, 0.520], [0.000, 0.587, 0.575], [0.000, 0.521, 0.100], [0.500, 0.683, 0.980], [0.000, 0.896, 0.246], [0.500, 0.622, 0.395], [0.500, 0.021, 0.400], [0.500, 0.378, 0.605], [0.000, 0.122, 0.105], [0.000, 0.000, 0.000], [0.000, 0.000, 0.500], [0.500, 0.500, 0.000], [0.500, 0.500, 0.500], [0.500, 0.742, 0.601], [0.500, 0.182, 0.649], [0.500, 0.048, 0.218], [0.000, 0.548, 0.282], [0.500, 0.258, 0.399], [0.500, 0.818, 0.351], [0.000, 0.452, 0.718], [0.500, 0.952, 0.782], [0.000, 0.758, 0.101], [0.000, 0.318, 0.149], [0.000, 0.242, 0.899], [0.000, 0.682, 0.851]], "space_group": "Pnnm", "e_tot_ev_per_cell": -375.49, "total_magnetization_mub_per_atom": 2.033, "formation_energy_ev_per_fu": -21.95}

***

No. 8
{"formula": "GdTlS2", "functional": "GGA-PBE", "state": "relaxed", "lattice_angstrom": [[0.718, -1.947, -3.536], [-0.188, 2.052, -3.545], [7.480, 1.690, -1.789]], "species": ["S", "S", "Tl", "Gd"], "fractional_positions": [[0.733, 0.733, 0.801], [0.267, 0.267, 0.199], [0.500, 0.500, 0.500], [0.000, 0.000, 0.000]], "space_group": "R-3m", "e_tot_ev_per_cell": -30.65, "formation_energy_ev_per_fu": -6.94}

***

No. 9
{"formula": "Gd2US5", "functional": "GGA-PBE", "state": "relaxed", "lattice_angstrom": [[7.408, 0.000, 0.000], [0.000, 8.009, 0.000], [0.000, 0.000, 11.728]], "species": ["S", "S", "S", "S", "S", "S", "S", "S", "S", "S", "S", "S", "S", "S", "S", "S", "S", "S", "S", "S", "Gd", "Gd", "Gd", "Gd", "Gd", "Gd", "Gd", "Gd", "U", "U", "U", "U"], "fractional_positions": [[0.674, 0.250, 0.313], [0.664, 0.045, 0.597], [0.961, 0.750, 0.500], [0.801, 0.750, 0.783], [0.836, 0.455, 0.097], [0.826, 0.250, 0.813], [0.039, 0.250, 0.500], [0.164, 0.545, 0.903], [0.336, 0.545, 0.403], [0.174, 0.750, 0.187], [0.461, 0.250, 0.000], [0.836, 0.045, 0.097], [0.301, 0.250, 0.717], [0.539, 0.750, 0.000], [0.664, 0.455, 0.597], [0.326, 0.750, 0.687], [0.699, 0.750, 0.283], [0.336, 0.955, 0.403], [0.199, 0.250, 0.217], [0.164, 0.955, 0.903], [0.977, 0.000, 0.323], [0.023, 0.000, 0.677], [0.477, 0.000, 0.177], [0.977, 0.500, 0.323], [0.477, 0.500, 0.177], [0.023, 0.500, 0.677], [0.523, 0.000, 0.823], [0.523, 0.500, 0.823], [0.425, 0.250, 0.490], [0.075, 0.250, 0.990], [0.575, 0.750, 0.510], [0.925, 0.750, 0.010]], "space_group": "Pnma", "e_tot_ev_per_cell": -298.79, "formation_energy_ev_per_fu": -17.09}

***

No. 10
{"formula": "Gd2ZrS5", "functional": "GGA-PBE", "state": "relaxed", "lattice_angstrom": [[-3.120, -3.435, -5.642], [-1.427, -6.206, 4.567], [-10.287, 4.525, 2.934]], "species": ["S", "S", "S", "S", "S", "S", "S", "S", "S", "S", "S", "S", "S", "S", "S", "S", "S", "S", "S", "S", "Gd", "Gd", "Gd", "Gd", "Gd", "Gd", "Gd", "Gd", "Zr", "Zr", "Zr", "Zr"], "fractional_positions": [[0.449, 0.750, 0.497], [0.660, 0.538, 0.093], [0.340, 0.462, 0.907], [0.810, 0.250, 0.292], [0.160, 0.462, 0.407], [0.834, 0.750, 0.318], [0.690, 0.250, 0.792], [0.160, 0.038, 0.407], [0.660, 0.962, 0.093], [0.051, 0.750, 0.997], [0.840, 0.538, 0.593], [0.310, 0.750, 0.208], [0.551, 0.250, 0.503], [0.840, 0.962, 0.593], [0.666, 0.750, 0.818], [0.334, 0.250, 0.182], [0.340, 0.038, 0.907], [0.190, 0.750, 0.708], [0.949, 0.250, 0.003], [0.166, 0.250, 0.682], [0.523, 0.002, 0.321], [0.977, 0.002, 0.821], [0.023, 0.502, 0.179], [0.477, 0.502, 0.679], [0.523, 0.498, 0.321], [0.977, 0.498, 0.821], [0.477, 0.998, 0.679], [0.023, 0.998, 0.179], [0.921, 0.250, 0.507], [0.079, 0.750, 0.493], [0.421, 0.750, 0.993], [0.579, 0.250, 0.007]], "space_group": "Pnma", "e_tot_ev_per_cell": -289.83, "formation_energy_ev_per_fu": -17.59}

***

No. 11
{"formula": "Gd4Sb3", "functional": "GGA-PBE", "state": "relaxed", "lattice_angstrom": [[3.734, -4.745, 5.388], [-6.635, -3.734, -2.742], [4.997, 1.509, -6.185]], "species": ["Gd", "Gd", "Gd", "Gd", "Gd", "Gd", "Gd", "Gd", "Sb", "Sb", "Sb", "Sb", "Sb", "Sb"], "fractional_positions": [[0.853, 0.500, 0.000], [0.147, 0.147, 0.147], [0.500, 0.000, 0.853], [0.500, 0.000, 0.353], [0.000, 0.853, 0.500], [0.647, 0.647, 0.647], [0.353, 0.500, 0.000], [0.000, 0.353, 0.500], [0.125, 0.750, 0.875], [0.625, 0.375, 0.250], [0.875, 0.125, 0.750], [0.750, 0.875, 0.125], [0.250, 0.625, 0.375], [0.375, 0.250, 0.625]], "space_group": "I-43d", "e_tot_ev_per_cell": -152.24, "formation_energy_ev_per_fu": -8.00}

***

No. 12
{"formula": "Gd3Sb4", "functional": "GGA-PBE", "state": "relaxed", "lattice_angstrom": [[-4.636, 4.636, 4.636], [4.636, -4.636, 4.636], [4.636, 4.636, -4.636]], "species": ["Sb", "Sb", "Sb", "Sb", "Sb", "Sb", "Sb", "Sb", "Gd", "Gd", "Gd", "Gd", "Gd", "Gd"], "fractional_positions": [[0.500, 0.000, 0.162], [0.338, 0.338, 0.338], [0.000, 0.662, 0.500], [0.000, 0.162, 0.500], [0.838, 0.838, 0.838], [0.500, 0.000, 0.662], [0.162, 0.500, 0.000], [0.662, 0.500, 0.000], [0.375, 0.625, 0.750], [0.750, 0.375, 0.625], [0.250, 0.125, 0.875], [0.875, 0.250, 0.125], [0.625, 0.750, 0.375], [0.125, 0.875, 0.250]], "space_group": "I-43d", "e_tot_ev_per_cell": -129.57, "total_magnetization_mub_per_atom": 2.934, "formation_energy_ev_per_fu": -6.81}

***

No. 13
{"formula": "GdSb", "functional": "GGA-PBE", "state": "relaxed", "lattice_angstrom": [[0.000, 3.149, 3.149], [3.149, 0.000, 3.149], [3.149, 3.149, 0.000]], "species": ["Sb", "Gd"], "fractional_positions": [[0.500, 0.500, 0.500], [0.000, 0.000, 0.000]], "space_group": "Fm-3m", "e_tot_ev_per_cell": -20.53, "formation_energy_ev_per_fu": -2.52}